## U2RhC2 (r2SCAN)

Data for U2RhC2 after structural relaxation.

Geometry as POSCAR:
```
U2RhC2
1.0
3.474 0.000 0.000
0.000 3.474 0.000
0.000 0.000 12.581
U Rh C
4 2 4
Cartesian
0.000 0.000 1.837
0.000 0.000 10.744
1.737 1.737 4.454
1.737 1.737 8.128
0.000 0.000 6.291
1.737 1.737 0.000
0.000 0.000 4.148
0.000 0.000 8.434
1.737 1.737 2.143
1.737 1.737 10.438
```

Output
SG: I4/mmm (139)



## YRh3C (r2SCAN)

Data for YRh3C after structural relaxation.

Geometry as POSCAR:
```
YRh3C
1.0
4.154 0.000 0.000
0.000 4.154 0.000
0.000 0.000 4.154
Y Rh C
1 3 1
Cartesian
0.000 0.000 0.000
0.000 2.077 2.077
2.077 0.000 2.077
2.077 2.077 0.000
2.077 2.077 2.077
```

Output
SG: Pm-3m (221)



## YbRh3C (r2SCAN)

Data for YbRh3C after structural relaxation.

Geometry as POSCAR:
```
YbRh3C
1.0
4.121 0.000 0.000
0.000 4.121 0.000
0.000 0.000 4.121
Yb Rh C
1 3 1
Cartesian
0.000 0.000 0.000
0.000 2.060 2.060
2.060 0.000 2.060
2.060 2.060 0.000
2.060 2.060 2.060
```

Output
SG: Pm-3m (221)



## U2RuC2 (r2SCAN)

Data for U2RuC2 after structural relaxation.

Geometry as POSCAR:
```
U2RuC2
1.0
3.425 0.000 0.000
0.000 3.425 0.000
0.000 0.000 12.684
U Ru C
4 2 4
Cartesian
0.000 0.000 1.839
0.000 0.000 10.845
1.713 1.713 4.503
1.713 1.713 8.180
0.000 0.000 6.342
1.713 1.713 0.000
0.000 0.000 4.163
0.000 0.000 8.520
1.713 1.713 2.178
1.713 1.713 10.505
```

Output
SG: I4/mmm (139)



## ZrRu3C (r2SCAN)

Data for ZrRu3C after structural relaxation.

Geometry as POSCAR:
```
ZrRu3C
1.0
4.076 0.000 0.000
0.000 4.076 0.000
0.000 0.000 4.076
Zr Ru C
1 3 1
Cartesian
0.000 0.000 0.000
0.000 2.038 2.038
2.038 0.000 2.038
2.038 2.038 0.000
2.038 2.038 2.038
```

Output
SG: Pm-3m (221)



## CS14 (r2SCAN)

Data for CS14 after structural relaxation.

Geometry as POSCAR:
```
CS14
1.0
5.472 3.159 3.953
-5.472 3.159 3.953
0.000 -6.318 3.953
C S
1 14
Cartesian
0.000 0.000 0.000
0.000 0.000 1.549
-1.658 -2.871 5.929
-3.315 0.000 5.929
0.000 -2.431 4.799
-2.105 1.215 4.799
-2.105 -1.215 7.059
1.658 -2.871 5.929
-1.658 2.871 5.929
2.105 1.215 4.799
2.105 -1.215 7.059
0.000 2.431 7.059
3.315 0.000 5.929
1.658 2.871 5.929
0.000 0.000 10.310
```

Output
SG: R-3m (166)



Result set for DFT formation energy: -0.4656, -0.5462, -0.6193, -0.3701, -0.3775, 0.0561 eV/atom, one per record in the order listed.
Result set for energy: -41.249, -21.080, -24.396, -41.411, -22.172, -8.105 eV per atom, one per record in the order listed.